*a*
Li2MnF5 (GGA+U, optimized geometry); symmetry = P2_1/c; magnetization = 4.0 μB per formula unit
1.0
5.136 0.000 0.000
0.000 7.416 0.000
0.000 3.350 9.347
F Li Mn
20 8 4
direct
0.421 0.082 0.308
0.409 0.461 0.143
0.427 0.259 0.756
0.927 0.241 0.244
0.579 0.918 0.692
0.591 0.539 0.857
0.073 0.759 0.756
0.091 0.961 0.143
0.079 0.582 0.308
0.357 0.629 0.553
0.909 0.039 0.857
0.924 0.667 0.035
0.143 0.129 0.553
0.576 0.167 0.035
0.424 0.833 0.965
0.643 0.371 0.447
0.573 0.741 0.244
0.857 0.871 0.447
0.076 0.333 0.965
0.921 0.418 0.692
0.698 0.623 0.481
0.255 0.528 0.745
0.198 0.877 0.519
0.802 0.123 0.481
0.755 0.972 0.255
0.245 0.028 0.745
0.745 0.472 0.255
0.302 0.377 0.519
0.745 0.286 0.857
0.245 0.214 0.143
0.255 0.714 0.143
0.755 0.786 0.857

*b*
Li2MnF5 (GGA+U, optimized geometry); symmetry = P2_1; magnetization = 4.0 μB per formula unit
1.0
-6.762 -9.228 -0.382
4.500 -3.238 -1.440
1.616 -1.422 5.750
F Mn Li
20 4 8
direct
0.522 0.268 0.468
0.782 0.632 0.788
0.188 0.681 0.924
0.731 0.021 0.484
0.477 0.466 0.951
0.075 0.317 0.417
0.402 0.975 0.797
0.141 0.218 0.904
0.282 0.368 0.212
0.902 0.025 0.203
0.641 0.782 0.096
0.977 0.534 0.049
0.022 0.732 0.532
0.915 0.028 0.734
0.688 0.319 0.076
0.807 0.585 0.359
0.415 0.972 0.266
0.231 0.979 0.516
0.307 0.415 0.641
0.575 0.683 0.583
0.626 0.551 0.860
0.126 0.449 0.140
0.868 0.847 0.504
0.368 0.153 0.496
0.326 0.133 0.006
0.355 0.662 0.818
0.826 0.867 0.994
0.087 0.029 0.673
0.634 0.505 0.334
0.587 0.971 0.327
0.855 0.338 0.182
0.134 0.495 0.666

Quick one: most stable of them? *a*